1.
A plane-wave DFT calculation with PBE+U was carried out for Li7Co5O12 after structural relaxation.

Its MP2020-corrected energy is -6.1738 eV/atom. The formation energy is -1662.1 meV per atom. As for the energy relative to the lowest polymorph listed for this composition: 9.7 kJ/mol of atoms. For the magnetization, the calculation gives 0.75 μB/atom. The value obtained for the calculated density is 4.1 g/cm³.

Lattice parameters (Å, degrees): 3.003 5.042 14.269 86.84 88.79 89.19
Positions (direct):
O  0.467  0.176  0.090
O  0.459  0.520  0.751
O  0.999  0.635  0.093
O  0.533  0.824  0.910
O  0.997  0.685  0.582
O  0.508  0.855  0.415
O  0.001  0.365  0.907
O  0.989  0.966  0.752
O  0.003  0.315  0.418
O  0.492  0.145  0.585
O  0.541  0.480  0.249
O  0.011  0.034  0.248
Li  0.001  0.668  0.334
Li  0.500  0.500  0.500
Li  0.999  0.332  0.666
Li  0.000  0.000  0.000
Li  0.500  0.500  0.000
Li  0.495  0.832  0.167
Li  0.505  0.168  0.833
Co  0.495  0.828  0.668
Co  0.000  0.000  0.500
Co  0.000  0.337  0.159
Co  0.000  0.663  0.841
Co  0.505  0.172  0.332

=====

2.
A plane-wave DFT calculation with PBE+U was carried out for CoP2O7 after structural relaxation.

Its MP2020-corrected energy is -7.3179 eV/atom. The formation energy is -2060.8 meV per atom. As for the energy relative to the lowest polymorph listed for this composition: 2.2 kJ/mol of atoms. For the magnetization, the calculation gives 0.30 μB/atom. The value obtained for the calculated density is 3.0 g/cm³.

Lattice parameters (Å, degrees): 6.212 6.625 6.954 88.81 113.36 94.69
Positions (direct):
O  0.757  0.583  0.480
O  0.429  0.900  0.188
O  0.900  0.950  0.773
O  0.243  0.417  0.520
O  0.598  0.616  0.793
O  0.100  0.050  0.227
O  0.935  0.330  0.873
O  0.065  0.670  0.127
O  0.799  0.348  0.215
O  0.571  0.100  0.812
O  0.307  0.801  0.495
O  0.402  0.384  0.207
O  0.693  0.199  0.505
O  0.201  0.652  0.785
Co  0.100  0.358  0.212
Co  0.900  0.642  0.788
P  0.664  0.389  0.351
P  0.780  0.144  0.748
P  0.336  0.611  0.649
P  0.220  0.856  0.252

=====

3.
A plane-wave DFT calculation with PBE+U was carried out for Li2MnNi3O8 after structural relaxation.

Its MP2020-corrected energy is -6.4036 eV/atom. The formation energy is -1410.4 meV per atom. As for the energy relative to the lowest polymorph listed for this composition: 3.7 kJ/mol of atoms. For the magnetization, the calculation gives 0.07 μB/atom. The value obtained for the calculated density is 4.5 g/cm³.

Lattice parameters (Å, degrees): 5.738 5.866 5.742 60.96 60.03 60.72
Positions (direct):
O  0.747  0.796  0.211
O  0.258  0.213  0.246
O  0.742  0.787  0.754
O  0.240  0.797  0.223
O  0.253  0.204  0.789
O  0.783  0.213  0.246
O  0.760  0.203  0.777
O  0.217  0.787  0.754
Mn  0.000  0.000  0.500
Ni  0.500  0.000  0.000
Ni  0.500  0.000  0.500
Ni  0.000  0.000  0.000
Li  0.500  0.500  0.000
Li  0.000  0.500  0.000

=====

4.
A plane-wave DFT calculation with PBE+U was carried out for Li5MnO4 after structural relaxation.

Its MP2020-corrected energy is -5.8884 eV/atom. The formation energy is -2038.6 meV per atom. As for the energy relative to the lowest polymorph listed for this composition: 2.0 kJ/mol of atoms. For the magnetization, the calculation gives 0.00 μB/atom. The value obtained for the calculated density is 2.7 g/cm³.

Lattice parameters (Å, degrees): 5.051 14.758 5.151 90.00 90.00 90.00
Positions (direct):
Li  0.060  0.163  0.923
Li  0.560  0.087  0.077
Li  0.560  0.587  0.077
Li  0.728  0.094  0.585
Li  0.060  0.837  0.923
Li  0.773  0.750  0.334
Li  0.560  0.413  0.077
Li  0.273  0.500  0.666
Li  0.729  0.594  0.585
Li  0.728  0.406  0.585
Li  0.560  0.913  0.077
Li  0.728  0.906  0.585
Li  0.060  0.663  0.923
Li  0.273  0.000  0.666
Li  0.228  0.156  0.415
Li  0.773  0.250  0.334
Li  0.060  0.337  0.923
Li  0.228  0.844  0.415
Li  0.228  0.344  0.415
Li  0.229  0.656  0.415
Mn  0.517  0.250  0.847
Mn  0.018  0.500  0.153
Mn  0.018  0.000  0.153
Mn  0.518  0.750  0.847
O  0.899  0.380  0.244
O  0.399  0.870  0.756
O  0.878  0.500  0.809
O  0.365  0.000  0.297
O  0.378  0.750  0.191
O  0.899  0.120  0.244
O  0.865  0.750  0.702
O  0.899  0.620  0.245
O  0.399  0.630  0.755
O  0.864  0.250  0.702
O  0.878  0.000  0.809
O  0.899  0.880  0.244
O  0.364  0.500  0.298
O  0.399  0.370  0.756
O  0.399  0.130  0.756
O  0.378  0.250  0.191

=====

5.
A plane-wave DFT calculation with PBE+U was carried out for LiMn2V4O8 after structural relaxation.

Its MP2020-corrected energy is -8.4486 eV/atom. The formation energy is -2038.4 meV per atom. As for the energy relative to the lowest polymorph listed for this composition: 20.4 kJ/mol of atoms. For the magnetization, the calculation gives 1.27 μB/atom. The value obtained for the calculated density is 4.2 g/cm³.

Lattice parameters (Å, degrees): 6.351 6.307 6.349 60.33 58.61 60.12
Positions (direct):
V  0.507  0.507  0.507
V  0.968  0.506  0.519
V  0.508  0.978  0.506
V  0.518  0.507  0.968
O  0.266  0.710  0.265
O  0.732  0.739  0.290
O  0.290  0.738  0.733
O  0.728  0.755  0.733
O  0.267  0.259  0.264
O  0.265  0.260  0.714
O  0.730  0.284  0.732
O  0.715  0.260  0.266
Li  0.373  0.377  0.373
Mn  0.875  0.875  0.875
Mn  0.131  0.119  0.130

=====

6.
A plane-wave DFT calculation with PBE+U was carried out for MnAlPH4O7 after structural relaxation.

Its MP2020-corrected energy is -6.8062 eV/atom. The formation energy is -2054.2 meV per atom. For the magnetization, the calculation gives 0.36 μB/atom. The value obtained for the calculated density is 2.8 g/cm³.

Lattice parameters (Å, degrees): 6.521 6.521 13.575 90.00 90.00 109.69
Positions (direct):
O  0.609  0.867  0.907
O  0.507  0.493  0.722
O  0.867  0.609  0.093
O  0.391  0.133  0.093
O  0.170  0.830  0.574
O  0.255  0.745  0.266
O  0.755  0.245  0.234
O  0.633  0.891  0.593
O  0.031  0.301  0.094
O  0.745  0.255  0.734
O  0.469  0.199  0.594
O  0.330  0.670  0.074
O  0.801  0.531  0.594
O  0.969  0.699  0.906
O  0.993  0.007  0.222
O  0.531  0.801  0.406
O  0.301  0.031  0.906
O  0.199  0.469  0.406
O  0.367  0.109  0.407
O  0.670  0.330  0.926
O  0.891  0.633  0.407
O  0.245  0.755  0.766
O  0.493  0.507  0.278
O  0.109  0.367  0.593
O  0.699  0.969  0.094
O  0.007  0.993  0.778
O  0.133  0.391  0.907
O  0.830  0.170  0.426
H  0.221  0.308  0.571
H  0.279  0.192  0.071
H  0.192  0.279  0.929
H  0.737  0.065  0.378
H  0.721  0.808  0.929
H  0.565  0.237  0.878
H  0.065  0.737  0.622
H  0.692  0.779  0.571
H  0.779  0.692  0.429
H  0.763  0.435  0.878
H  0.263  0.935  0.622
H  0.237  0.565  0.122
H  0.308  0.221  0.429
H  0.435  0.763  0.122
H  0.935  0.263  0.378
H  0.808  0.721  0.071
Al  0.000  0.500  0.000
Al  0.000  0.500  0.500
Al  0.500  0.000  0.500
Al  0.500  0.000  0.000
P  0.368  0.632  0.336
P  0.632  0.368  0.664
P  0.132  0.868  0.836
P  0.868  0.132  0.164
Mn  0.630  0.870  0.750
Mn  0.870  0.630  0.250
Mn  0.130  0.370  0.750
Mn  0.370  0.130  0.250